This record from the Materials Project describes a geometry-optimized ScH4NF4 structure. The functional is GGA-PBE.

extended XYZ file:
```
80
Lattice="13.7661 0.0000 0.0000 0.0000 7.9478 0.0000 0.0000 0.0000 8.2081" Properties=species:S:1:pos:R:3 pbc="T T T"
Sc 3.4364 0.0003 1.0265
Sc 3.4467 7.9475 5.1306
Sc 3.4364 3.9736 1.0265
Sc 3.4467 3.9743 5.1306
Sc 10.3194 0.0003 3.0775
Sc 10.3297 7.9475 7.1815
Sc 10.3194 3.9736 3.0775
Sc 10.3297 3.9743 7.1815
H 0.4987 1.1185 1.1736
H 0.4987 2.8554 1.1736
H 0.5198 1.1187 5.2524
H 0.5198 2.8552 5.2524
H 0.5545 5.9609 3.9230
H 0.5645 5.9609 8.0116
H 0.7634 5.9609 2.2696
H 0.7918 5.9609 6.3599
H 6.0913 1.9870 2.2558
H 6.1197 1.9870 6.3736
H 6.3186 1.9870 3.9076
H 6.3285 1.9870 8.0270
H 6.3632 5.0926 1.1484
H 6.3632 6.8291 1.1484
H 6.3844 5.0925 5.2776
H 6.3844 6.8293 5.2776
H 7.3817 1.1185 2.9304
H 7.3817 2.8554 2.9304
H 7.4029 1.1187 7.0597
H 7.4029 2.8552 7.0597
H 7.4376 5.9609 0.1810
H 7.4475 5.9609 4.3004
H 7.6464 5.9609 1.8344
H 7.6748 5.9609 5.9522
H 12.9743 1.9870 1.8482
H 13.0027 1.9870 5.9385
H 13.2016 1.9870 0.1964
H 13.2116 1.9870 4.2851
H 13.2463 5.0926 2.9556
H 13.2463 6.8291 2.9556
H 13.2674 5.0925 7.0345
H 13.2674 6.8293 7.0345
N 0.0604 5.9609 3.0222
N 0.0819 5.9609 7.1065
N 6.8011 1.9870 3.0024
N 6.8226 1.9870 7.1262
N 6.9435 5.9609 1.0819
N 6.9650 5.9609 5.2056
N 13.6842 1.9870 1.1016
N 13.7057 1.9870 5.1859
F 1.4518 4.3298 1.0669
F 1.4518 7.5919 1.0669
F 1.4620 4.3336 5.1426
F 1.4620 7.5881 5.1426
F 3.0162 1.9870 0.8671
F 3.0289 1.9870 5.2931
F 3.4295 0.1567 3.0825
F 3.4295 3.8172 3.0825
F 3.4536 4.1306 7.1865
F 3.4536 7.7912 7.1865
F 3.8542 5.9609 1.1891
F 3.8668 5.9609 4.9711
F 5.4210 0.3597 1.0385
F 5.4210 3.6142 1.0385
F 5.4312 0.3559 5.1709
F 5.4312 3.6180 5.1709
F 8.3349 4.3298 3.0371
F 8.3349 7.5919 3.0371
F 8.3451 4.3336 7.1695
F 8.3451 7.5881 7.1695
F 9.8993 1.9870 3.2370
F 9.9119 1.9870 7.0189
F 10.3125 0.1567 1.0215
F 10.3125 3.8172 1.0215
F 10.3366 4.1306 5.1256
F 10.3366 7.7912 5.1256
F 10.7372 5.9609 2.9149
F 10.7499 5.9609 7.3410
F 12.3041 0.3597 3.0655
F 12.3041 3.6142 3.0655
F 12.3143 0.3559 7.1412
F 12.3143 3.6180 7.1412
```

Values from the calculation:
Total energy after the MP2020 corrections, eV per atom: -5.91
Energy of formation from the pure elements, meV per atom: -2321
SG: No. 62
Uncorrected energy, eV per atom: -5.73



This record from the Materials Project describes a geometry-optimized BaSn2 structure. The functional is GGA-PBE.

extended XYZ file:
```
3
Lattice="4.7650 0.0000 0.0000 -2.3825 4.1266 0.0000 0.0000 0.0000 5.6084" Properties=species:S:1:pos:R:3 pbc="T T T"
Ba 0.0000 0.0000 0.0000
Sn 0.0000 2.7511 3.3854
Sn 2.3825 1.3755 2.2230
```

Values from the calculation:
Energy of formation from the pure elements, meV per atom: -584
SG: No. 164
Uncorrected energy, eV per atom: -3.90



This record from the Materials Project describes a geometry-optimized RbBr3 structure. The functional is GGA-PBE.

extended XYZ file:
```
4
Lattice="-2.2413 2.2413 7.6026 2.2413 -2.2413 7.6026 2.2413 2.2413 -7.6026" Properties=species:S:1:pos:R:3 pbc="T T T"
Rb 0.0000 0.0000 0.0000
Br 2.2413 0.0000 3.8013
Br 0.0000 0.0000 7.6026
Br 0.0000 2.2413 3.8013
```

Values from the calculation:
Total energy after the MP2020 corrections, eV per atom: -2.49
Energy of formation from the pure elements, meV per atom: -1015
SG: No. 139
Uncorrected energy, eV per atom: -2.09



This record from the Materials Project describes a geometry-optimized Lu4CdPd structure. The functional is GGA-PBE.

extended XYZ file:
```
24
Lattice="0.0000 6.7062 6.7062 6.7062 0.0000 6.7062 6.7062 6.7062 0.0000" Properties=species:S:1:pos:R:3 pbc="T T T"
Lu 6.7062 6.7062 2.4631
Lu 6.7062 2.4631 6.7062
Lu 10.9493 6.7062 6.7062
Lu 5.3107 5.3107 5.3107
Lu 8.1016 8.1016 5.3107
Lu 8.1016 5.3107 8.1016
Lu 10.0592 10.0592 7.5319
Lu 10.0592 7.5319 10.0592
Lu 12.5866 10.0592 10.0592
Lu 5.3107 8.1016 8.1016
Lu 2.4631 6.7062 6.7062
Lu 6.7062 10.9493 6.7062
Lu 6.7062 6.7062 10.9493
Lu 7.5319 10.0592 10.0592
Lu 10.0592 12.5866 10.0592
Lu 10.0592 10.0592 12.5866
Cd 2.2409 2.2409 2.2409
Cd 4.4653 4.4653 2.2409
Cd 4.4653 2.2409 4.4653
Cd 2.2409 4.4653 4.4653
Pd 8.1134 5.2989 5.2989
Pd 5.2989 8.1134 5.2989
Pd 5.2989 5.2989 8.1134
Pd 8.1134 8.1134 8.1134
```

Values from the calculation:
Energy of formation from the pure elements, meV per atom: -473
SG: No. 216
Uncorrected energy, eV per atom: -4.50



This record from the Materials Project describes a geometry-optimized PrDyZn2 structure. The functional is GGA-PBE.

extended XYZ file:
```
4
Lattice="0.0000 3.6434 3.6434 3.6434 0.0000 3.6434 3.6434 3.6434 0.0000" Properties=species:S:1:pos:R:3 pbc="T T T"
Pr 0.0000 0.0000 0.0000
Dy 3.6434 3.6434 3.6434
Zn 1.8217 1.8217 1.8217
Zn 5.4651 5.4651 5.4651
```

Values from the calculation:
Energy of formation from the pure elements, meV per atom: -318
SG: No. 225
Uncorrected energy, eV per atom: -3.30



This record from the Materials Project describes a geometry-optimized Zr3Zn3C structure. The functional is GGA-PBE.

extended XYZ file:
```
28
Lattice="0.0000 6.1381 6.1381 6.1381 0.0000 6.1381 6.1381 6.1381 0.0000" Properties=species:S:1:pos:R:3 pbc="T T T"
Zr 4.6036 4.6036 0.7855
Zr 4.6036 0.7855 4.6036
Zr 8.4216 4.6036 4.6036
Zr 7.6726 7.6726 3.8546
Zr 7.6726 3.8546 7.6726
Zr 11.4907 7.6726 7.6726
Zr 0.7855 4.6036 4.6036
Zr 4.6036 8.4216 4.6036
Zr 4.6036 4.6036 8.4216
Zr 3.8546 7.6726 7.6726
Zr 7.6726 11.4907 7.6726
Zr 7.6726 7.6726 11.4907
Zn 6.1381 3.0690 3.0690
Zn 3.6139 3.6139 3.6139
Zn 5.5932 5.5932 3.6139
Zn 5.5932 3.6139 5.5932
Zn 8.6623 6.6829 6.6829
Zn 3.0690 6.1381 3.0690
Zn 3.0690 3.0690 6.1381
Zn 6.1381 6.1381 6.1381
Zn 3.6139 5.5932 5.5932
Zn 6.6829 8.6623 6.6829
Zn 6.6829 6.6829 8.6623
Zn 8.6623 8.6623 8.6623
C 0.0000 0.0000 0.0000
C 3.0690 3.0690 0.0000
C 3.0690 0.0000 3.0690
C 0.0000 3.0690 3.0690
```

Values from the calculation:
Energy of formation from the pure elements, meV per atom: -485
SG: No. 227
Uncorrected energy, eV per atom: -6.01



This record from the Materials Project describes a geometry-optimized Cs2LiAuCl6 structure. The functional is GGA-PBE.

extended XYZ file:
```
10
Lattice="0.0000 5.1960 5.1960 5.1960 0.0000 5.1960 5.1960 5.1960 0.0000" Properties=species:S:1:pos:R:3 pbc="T T T"
Cs 2.5980 2.5980 2.5980
Cs 7.7939 7.7939 7.7939
Li 0.0000 0.0000 0.0000
Au 5.1960 5.1960 5.1960
Cl 5.1960 5.1960 2.6509
Cl 5.1960 2.6509 5.1960
Cl 7.7411 5.1960 5.1960
Cl 2.6509 5.1960 5.1960
Cl 5.1960 7.7411 5.1960
Cl 5.1960 5.1960 7.7411
```

Values from the calculation:
Total energy after the MP2020 corrections, eV per atom: -3.38
Energy of formation from the pure elements, meV per atom: -1570
SG: No. 225
Uncorrected energy, eV per atom: -3.01



This record from the Materials Project describes a geometry-optimized Rb2Ge4O9 structure. The functional is GGA-PBE.

extended XYZ file:
```
90
Lattice="12.2985 0.0000 0.0000 -6.1493 10.6508 0.0000 0.0000 0.0000 10.0298" Properties=species:S:1:pos:R:3 pbc="T T T"
Rb -2.0433 3.5894 4.3199
Rb -4.0624 7.0865 9.3348
Rb 2.0433 3.5894 9.3348
Rb -2.0191 10.6257 4.3199
Rb 4.1302 0.0251 0.6950
Rb 2.0869 3.5643 5.7099
Rb 4.0624 7.0865 4.3199
Rb 2.0191 10.6257 9.3348
Rb 8.1683 0.0251 5.7099
Rb 4.1059 7.0614 0.6950
Rb 10.2117 3.5643 0.6950
Rb 8.1926 7.0614 5.7099
Ge 0.0000 0.0000 0.0000
Ge 0.0000 0.0000 5.0149
Ge -1.0948 1.8963 7.5224
Ge -5.0544 8.7545 2.5075
Ge -1.1259 5.1573 7.2372
Ge -2.2459 7.0971 2.2223
Ge 2.1897 0.0000 7.5224
Ge 1.0948 1.8963 2.5075
Ge 0.0000 7.1006 4.7204
Ge 0.0000 7.1006 9.7353
Ge 1.1259 5.1573 2.2223
Ge -1.1200 9.0473 7.2372
Ge 5.0293 1.6036 7.8075
Ge 3.9034 3.5537 2.7926
Ge 2.2459 7.0971 7.2372
Ge 1.1200 9.0473 2.2223
Ge 7.2692 1.6036 2.7926
Ge 5.0234 5.4936 7.8075
Ge 6.1493 3.5503 0.2945
Ge 6.1493 3.5503 5.3094
Ge 10.1089 0.0000 2.5075
Ge 5.0544 8.7545 7.5224
Ge 8.3952 3.5537 7.8075
Ge 7.2752 5.4936 2.7926
O -2.8992 5.0215 7.5224
O -3.2501 5.6293 2.5075
O -0.0408 1.5830 8.9004
O -4.7988 9.8240 3.8855
O 0.0408 1.5830 3.8855
O -4.7579 9.8947 8.9004
O -0.5599 3.4853 6.8174
O -3.4109 8.4233 1.8025
O 1.3913 0.7561 6.1443
O 1.3505 0.8269 1.1294
O -1.2527 6.1397 5.7914
O -1.4585 6.4961 0.7765
O 0.5599 3.4853 1.8025
O -2.8510 9.3931 6.8174
O -0.1604 5.5153 8.6489
O -1.4531 7.7543 3.6340
O 0.1604 5.5153 3.6340
O -1.2927 8.0322 8.6489
O 3.2983 1.2577 8.2274
O 2.7384 2.2275 3.2124
O 1.2527 6.1397 0.7765
O -0.2057 8.6659 5.7914
O 1.4585 6.4961 5.7914
O 0.2057 8.6659 0.7765
O 5.7984 0.0000 7.5224
O 2.8992 5.0215 2.5075
O 1.4531 7.7543 8.6489
O 1.2927 8.0322 3.6340
O 4.8566 2.6187 6.3958
O 4.6961 2.8966 1.3809
O 6.5002 0.0000 2.5075
O 3.2501 5.6293 7.5224
O 5.9435 1.9850 9.2533
O 4.6908 4.1548 4.2384
O 6.3550 1.9850 4.2384
O 4.8965 4.5111 9.2533
O 3.4109 8.4233 6.8174
O 2.8510 9.3931 1.8025
O 7.4420 2.6187 1.3809
O 5.9888 5.1356 6.3958
O 7.6024 2.8966 6.3958
O 6.3097 5.1356 1.3809
O 9.0002 1.2577 3.2124
O 5.5894 7.1656 8.2274
O 7.6077 4.1548 9.2533
O 7.4020 4.5111 4.2384
O 4.7988 9.8240 8.9004
O 4.7579 9.8947 3.8855
O 9.5602 2.2275 8.2274
O 6.7092 7.1656 3.2124
O 10.9072 0.7561 1.1294
O 6.1084 9.0678 6.1443
O 10.9480 0.8269 6.1443
O 6.1901 9.0678 1.1294
```

Values from the calculation:
Total energy after the MP2020 corrections, eV per atom: -6.49
Energy of formation from the pure elements, meV per atom: -2153
SG: No. 165
Uncorrected energy, eV per atom: -6.07



This record from the Materials Project describes a geometry-optimized Er2Si5Rh3 structure. The functional is GGA-PBE.

extended XYZ file:
```
20
Lattice="-4.9560 5.7671 2.8726 4.9560 -5.7671 2.8726 4.9560 5.7671 -2.8726" Properties=species:S:1:pos:R:3 pbc="T T T"
Er 2.3004 1.5173 0.0000
Er 2.3004 -1.5173 2.8726
Er 2.6556 7.2844 0.0000
Er 2.6556 4.2498 2.8726
Si 4.9560 -2.5763 1.4363
Si 6.5057 1.2271 0.0000
Si 0.0000 0.0000 1.4363
Si 1.5497 4.5400 0.0000
Si 4.9560 2.5763 1.4363
Si 0.0000 3.1907 1.4363
Si 3.4063 1.2271 2.8726
Si 0.0000 0.0000 4.3089
Si -1.5497 4.5400 2.8726
Si 0.0000 8.3434 1.4363
Rh 3.8580 -4.1585 2.8726
Rh 4.9560 0.0000 1.4363
Rh 3.8580 4.1585 0.0000
Rh 1.0980 1.6086 2.8726
Rh 0.0000 5.7671 1.4363
Rh 1.0980 9.9256 0.0000
```

Values from the calculation:
Energy of formation from the pure elements, meV per atom: -958
SG: No. 72
Uncorrected energy, eV per atom: -6.79



This record from the Materials Project describes a geometry-optimized Rb3LuP2O8 structure. The functional is GGA-PBE.

extended XYZ file:
```
14
Lattice="5.6580 0.0000 0.0000 -2.8290 4.9000 0.0000 0.0000 0.0000 8.2964" Properties=species:S:1:pos:R:3 pbc="T T T"
Rb 0.0000 0.0000 0.0000
Rb 0.0000 3.2667 6.3022
Rb 2.8290 1.6333 1.9942
Lu 0.0000 0.0000 4.1482
P 0.0000 3.2667 2.3543
P 2.8290 1.6333 5.9421
O 0.0000 1.7936 2.8865
O -1.2757 4.0032 2.8865
O 0.0000 3.2667 0.8244
O 1.5533 0.8968 5.4099
O 1.2757 4.0032 2.8865
O 2.8290 1.6333 7.4720
O 4.1047 0.8968 5.4099
O 2.8290 3.1064 5.4099
```

Values from the calculation:
Total energy after the MP2020 corrections, eV per atom: -7.11
Energy of formation from the pure elements, meV per atom: -2978
SG: No. 164
Uncorrected energy, eV per atom: -6.72



This record from the Materials Project describes a geometry-optimized BeSiAs2 structure. The functional is GGA-PBE.

extended XYZ file:
```
8
Lattice="-2.6922 2.6922 5.3483 2.6922 -2.6922 5.3483 2.6922 2.6922 -5.3483" Properties=species:S:1:pos:R:3 pbc="T T T"
Be 0.0000 0.0000 0.0000
Be 0.0000 2.6922 2.6742
Si 2.6922 0.0000 2.6742
Si 0.0000 0.0000 5.3483
As 1.3461 1.2437 -1.3371
As 1.4485 -1.3461 6.6854
As 1.3461 1.4485 4.0112
As 1.2437 4.0382 1.3371
```

Values from the calculation:
Energy of formation from the pure elements, meV per atom: -211
Largest piezoelectric modulus, C/m2: 0.13
SG: No. 122
Uncorrected energy, eV per atom: -4.83